Density functional theory data (PBE) for crystalline Eu2AgBi at its relaxed geometry.

Output
- magnetization (μB per formula unit) = 14.0
- volume (Å³ per atom) = 30.67
- mass density (g/cm3) = 8.40
- energy relative to the elements (eV per atom) = -0.638
- space group = Fm-3m

a = 5.5772 Å, b = 5.5772 Å, c = 5.5772 Å
α = 60.00°, β = 60.00°, γ = 60.00°
Closest atoms and distances in Å follow each position.
Fractional coordinates of all 4 atoms:
Eu 0.2500 0.2500 0.2500  4 Ag 3.42, 4 Bi 3.42
Eu 0.7500 0.7500 0.7500  4 Bi 3.42, 4 Ag 3.42
Ag 0.5000 0.5000 0.5000  8 Eu 3.42
Bi 0.0000 0.0000 0.0000  8 Eu 3.42

***

Density functional theory data (PBE) for crystalline Y2Ga2Co15 at its relaxed geometry.

Output
- magnetization (μB per formula unit) = 21.3
- volume (Å³ per atom) = 13.06
- mass density (g/cm3) = 8.04
- energy relative to the elements (eV per atom) = -0.111
- space group = Cmcm

a = 8.1953 Å, b = 8.3679 Å, c = 8.3679 Å
α = 120.11°, β = 90.00°, γ = 90.00°
Closest atoms and distances in Å follow each position.
Fractional coordinates of all 38 atoms:
Y 0.7500 0.0001 0.9999  18 Co 2.95-3.27
Y 0.2500 0.9999 0.0001  18 Co 2.95-3.27
Y 0.2500 0.6671 0.3329  2 Ga 2.83, 16 Co 3.02-3.16
Y 0.7500 0.3329 0.6671  2 Ga 2.83, 16 Co 3.02-3.16
Ga 0.5956 0.6669 0.3331  1 Ga 2.53, 12 Co 2.54-2.74, 1 Y 2.83
Ga 0.4044 0.3331 0.6669  1 Ga 2.53, 12 Co 2.54-2.74, 1 Y 2.83
Ga 0.0956 0.3331 0.6669  1 Ga 2.53, 12 Co 2.54-2.74, 1 Y 2.83
Ga 0.9044 0.6669 0.3331  1 Ga 2.53, 12 Co 2.54-2.74, 1 Y 2.83
Co 0.5000 0.5000 0.0000  8 Co 2.42-2.45, 2 Ga 2.54
Co 0.5000 0.5000 0.5000  8 Co 2.42-2.45, 2 Ga 2.54
Co 0.5000 0.0000 0.5000  8 Co 2.42-2.45, 2 Ga 2.54
Co 0.0000 0.5000 0.0000  8 Co 2.42-2.45, 2 Ga 2.54
Co 0.0000 0.5000 0.5000  8 Co 2.42-2.45, 2 Ga 2.54
Co 0.0000 0.0000 0.5000  8 Co 2.42-2.45, 2 Ga 2.54
Co 0.7500 0.6726 0.0469  8 Co 2.34-2.57
Co 0.7500 0.3742 0.3274  8 Co 2.35-2.57
Co 0.7500 0.9533 0.6257  8 Co 2.35-2.57
Co 0.7500 0.3743 0.0467  8 Co 2.35-2.57
Co 0.7500 0.9531 0.3274  8 Co 2.34-2.57
Co 0.7500 0.6726 0.6258  8 Co 2.35-2.57
Co 0.2500 0.3274 0.9531  8 Co 2.34-2.57
Co 0.2500 0.6258 0.6726  8 Co 2.35-2.57
Co 0.2500 0.0467 0.3743  8 Co 2.35-2.57
Co 0.2500 0.6257 0.9533  8 Co 2.35-2.57
Co 0.2500 0.0469 0.6726  8 Co 2.34-2.57
Co 0.2500 0.3274 0.3742  8 Co 2.35-2.57
Co 0.4747 0.8378 0.6749  8 Co 2.39-2.57, 1 Ga 2.67
Co 0.4743 0.8374 0.1626  8 Co 2.39-2.57, 1 Ga 2.66
Co 0.4747 0.3251 0.1622  8 Co 2.39-2.57, 1 Ga 2.67
Co 0.5253 0.1622 0.3251  8 Co 2.39-2.57, 1 Ga 2.67
Co 0.5257 0.1626 0.8374  8 Co 2.39-2.57, 1 Ga 2.66
Co 0.5253 0.6749 0.8378  8 Co 2.39-2.57, 1 Ga 2.67
Co 0.9747 0.1622 0.3251  8 Co 2.39-2.57, 1 Ga 2.67
Co 0.9743 0.1626 0.8374  8 Co 2.39-2.57, 1 Ga 2.66
Co 0.9747 0.6749 0.8378  8 Co 2.39-2.57, 1 Ga 2.67
Co 0.0253 0.8378 0.6749  8 Co 2.39-2.57, 1 Ga 2.67
Co 0.0257 0.8374 0.1626  8 Co 2.39-2.57, 1 Ga 2.66
Co 0.0253 0.3251 0.1622  8 Co 2.39-2.57, 1 Ga 2.67

***

Density functional theory data (PBE) for crystalline Ho6Fe23 at its relaxed geometry.

Output
- volume (Å³ per atom) = 14.83
- mass density (g/cm3) = 8.78
- energy relative to the elements (eV per atom) = -0.059
- space group = Fm-3m

a = 8.4731 Å, b = 8.4731 Å, c = 8.4731 Å
α = 60.00°, β = 60.00°, γ = 60.00°
Closest atoms and distances in Å follow each position.
Fractional coordinates of all 29 atoms:
Ho 0.2097 0.7903 0.2097  12 Fe 2.89-3.03
Ho 0.2097 0.7903 0.7903  12 Fe 2.89-3.03
Ho 0.7903 0.2097 0.2097  12 Fe 2.89-3.03
Ho 0.7903 0.7903 0.2097  12 Fe 2.89-3.03
Ho 0.2097 0.2097 0.7903  12 Fe 2.89-3.03
Ho 0.7903 0.2097 0.7903  12 Fe 2.89-3.03
Fe 0.5000 0.5000 0.5000  8 Fe 2.52
Fe 0.0000 0.5000 0.0000  8 Fe 2.45-2.62
Fe 0.5000 0.0000 0.0000  8 Fe 2.45-2.62
Fe 0.0000 0.5000 0.5000  8 Fe 2.45-2.62
Fe 0.5000 0.0000 0.5000  8 Fe 2.45-2.62
Fe 0.0000 0.0000 0.5000  8 Fe 2.45-2.62
Fe 0.5000 0.5000 0.0000  8 Fe 2.45-2.62
Fe 0.1755 0.1755 0.1755  9 Fe 2.45-2.60
Fe 0.5265 0.8245 0.8245  9 Fe 2.45-2.60
Fe 0.8245 0.5265 0.8245  9 Fe 2.45-2.60
Fe 0.8245 0.8245 0.5265  9 Fe 2.45-2.60
Fe 0.1755 0.4735 0.1755  9 Fe 2.45-2.60
Fe 0.1755 0.1755 0.4735  9 Fe 2.45-2.60
Fe 0.4735 0.1755 0.1755  9 Fe 2.45-2.60
Fe 0.8245 0.8245 0.8245  9 Fe 2.45-2.60
Fe 0.3784 0.3784 0.3784  7 Fe 2.52-2.62
Fe 0.1352 0.6216 0.6216  7 Fe 2.52-2.62
Fe 0.6216 0.1352 0.6216  7 Fe 2.52-2.62
Fe 0.6216 0.6216 0.1352  7 Fe 2.52-2.62
Fe 0.3784 0.8648 0.3784  7 Fe 2.52-2.62
Fe 0.3784 0.3784 0.8648  7 Fe 2.52-2.62
Fe 0.8648 0.3784 0.3784  7 Fe 2.52-2.62
Fe 0.6216 0.6216 0.6216  7 Fe 2.52-2.62

***

Density functional theory data (PBE) for crystalline SrLaRu2O6 at its relaxed geometry.

Output
- magnetization (μB per formula unit) = 3.0
- volume (Å³ per atom) = 12.70
- mass density (g/cm3) = 6.86
- energy relative to the elements (eV per atom) = -2.379
- space group = Pmn2_1
- total energy after the MP2020 corrections (eV/atom) = -7.87

a = 5.6433 Å, b = 5.6482 Å, c = 7.9693 Å
α = 90.00°, β = 90.00°, γ = 90.00°
Closest atoms and distances in Å follow each position.
Fractional coordinates of all 20 atoms:
Sr 0.7867 0.4945 0.5000  6 O 2.46-2.75
Sr 0.2133 0.9945 0.0000  6 O 2.46-2.75
La 0.2902 0.0071 0.5000  4 O 2.38-2.56
La 0.7098 0.5071 0.0000  4 O 2.38-2.56
Ru 0.2496 0.5000 0.7507  6 O 2.03-2.06
Ru 0.7504 0.0000 0.2507  6 O 2.03-2.06
Ru 0.2496 0.5000 0.2493  6 O 2.03-2.06
Ru 0.7504 0.0000 0.7493  6 O 2.03-2.06
O 0.9541 0.7035 0.7939  2 Ru 2.05-2.06
O 0.4627 0.7881 0.2097  2 Ru 2.04-2.05
O 0.5373 0.2881 0.2903  2 Ru 2.04-2.05
O 0.0459 0.2035 0.7061  2 Ru 2.05-2.06
O 0.5373 0.2881 0.7097  2 Ru 2.04-2.05
O 0.0459 0.2035 0.2939  2 Ru 2.05-2.06
O 0.9541 0.7035 0.2061  2 Ru 2.05-2.06
O 0.4627 0.7881 0.7903  2 Ru 2.04-2.05
O 0.2422 0.5884 0.5000  2 Ru 2.06
O 0.7359 0.9269 0.5000  2 Ru 2.03
O 0.2641 0.4269 0.0000  2 Ru 2.03
O 0.7578 0.0884 0.0000  2 Ru 2.06

***

Density functional theory data (PBE) for crystalline NdEuGe4O12 at its relaxed geometry.

Output
- magnetization (μB per formula unit) = 0.1
- volume (Å³ per atom) = 24.16
- mass density (g/cm3) = 2.97
- energy relative to the elements (eV per atom) = -0.624
- space group = P4/mmm
- total energy after the MP2020 corrections (eV/atom) = -5.78

a = 6.7570 Å, b = 6.7570 Å, c = 9.5248 Å
α = 90.00°, β = 90.00°, γ = 90.00°
Closest atoms and distances in Å follow each position.
Fractional coordinates of all 18 atoms:
Nd 0.0000 0.0000 0.0000  12 O 3.33-3.38
Eu 0.5000 0.5000 0.5000  12 O 3.38-3.42
Ge 0.0000 0.5000 0.7448  6 O 2.33-2.43
Ge 0.0000 0.5000 0.2552  6 O 2.33-2.43
Ge 0.5000 0.0000 0.7448  6 O 2.33-2.43
Ge 0.5000 0.0000 0.2552  6 O 2.33-2.43
O 0.2463 0.2463 0.7532  2 Ge 2.39
O 0.2463 0.2463 0.2468  2 Ge 2.39
O 0.7537 0.7537 0.2468  2 Ge 2.39
O 0.7537 0.7537 0.7532  2 Ge 2.39
O 0.7537 0.2463 0.7532  2 Ge 2.39
O 0.7537 0.2463 0.2468  2 Ge 2.39
O 0.2463 0.7537 0.2468  2 Ge 2.39
O 0.2463 0.7537 0.7532  2 Ge 2.39
O 0.0000 0.5000 0.5000  2 Ge 2.33
O 0.0000 0.5000 0.0000  2 Ge 2.43
O 0.5000 0.0000 0.5000  2 Ge 2.33
O 0.5000 0.0000 0.0000  2 Ge 2.43

***

Density functional theory data (PBE) for crystalline LiTi2O4 at its relaxed geometry.

Output
- magnetization (μB per formula unit) = 1.0
- volume (Å³ per atom) = 9.69
- mass density (g/cm3) = 4.08
- energy relative to the elements (eV per atom) = -3.103
- polymorph energy (0 for the lowest one) (meV per atom) = 143.4
- space group = P2/m
- total energy after the MP2020 corrections (eV/atom) = -8.46

a = 2.9309 Å, b = 4.7889 Å, c = 4.8326 Å
α = 89.05°, β = 90.00°, γ = 90.00°
Closest atoms and distances in Å follow each position.
Fractional coordinates of all 7 atoms:
Li 0.5000 0.5000 0.0000  2 O 1.87
Ti 0.0000 0.0000 0.0000  6 O 1.99-2.06
Ti 0.5000 0.5000 0.5000  6 O 2.03-2.04
O 0.0000 0.6680 0.7346  3 Ti 2.03-2.06, 2 Li 2.10
O 0.5000 0.1794 0.7840  1 Li 1.87, 3 Ti 1.99-2.04
O 0.5000 0.8206 0.2160  1 Li 1.87, 3 Ti 1.99-2.04
O 0.0000 0.3320 0.2654  3 Ti 2.03-2.06, 2 Li 2.10

***

Density functional theory data (PBE) for crystalline MgTiSiO5 at its relaxed geometry.

Output
- magnetization (μB per formula unit) = 0.0
- volume (Å³ per atom) = 10.90
- mass density (g/cm3) = 3.43
- energy relative to the elements (eV per atom) = -3.270
- polymorph energy (0 for the lowest one) (meV per atom) = 0.0
- space group = P1
- total energy after the MP2020 corrections (eV/atom) = -8.23

a = 5.4311 Å, b = 7.0940 Å, c = 8.5942 Å
α = 92.32°, β = 144.89°, γ = 74.77°
Closest atoms and distances in Å follow each position.
Fractional coordinates of all 16 atoms:
Mg 0.4460 0.2977 0.1600  4 O 2.01-2.12
Mg 0.5406 0.7375 0.8462  3 O 2.04-2.07
Ti 0.5061 0.5009 0.5131  4 O 1.80-2.00
Ti 0.4948 0.0022 0.4900  3 O 1.81-1.97
Si 0.4891 0.2309 0.8111  4 O 1.64-1.67
Si 0.5137 0.7450 0.1890  4 O 1.63-1.67
O 0.1690 0.1551 0.5262  1 Si 1.65
O 0.6817 0.3797 0.8112  1 Si 1.67
O 0.8245 0.8257 0.4683  1 Si 1.65
O 0.3271 0.5952 0.1939  1 Si 1.67
O 0.8244 0.6038 0.1988  1 Si 1.66
O 0.1123 0.9335 0.8938  1 Si 1.63
O 0.1871 0.3680 0.8079  1 Si 1.65
O 0.8903 0.0261 0.0918  1 Si 1.64
O 0.5262 0.7365 0.6016  1 Ti 1.80
O 0.4677 0.2402 0.3988  1 Ti 1.81, 1 Mg 2.01

***

Density functional theory data (PBE) for crystalline Li2BeH4 at its relaxed geometry.

Output
- magnetization (μB per formula unit) = 0.1
- volume (Å³ per atom) = 9.58
- mass density (g/cm3) = 0.67
- energy relative to the elements (eV per atom) = -0.135
- polymorph energy (0 for the lowest one) (meV per atom) = 266.2
- space group = P1
- total energy after the MP2020 corrections (eV/atom) = -3.15

a = 4.8579 Å, b = 6.7595 Å, c = 12.4628 Å
α = 81.50°, β = 84.63°, γ = 86.07°
Closest atoms and distances in Å follow each position.
Fractional coordinates of all 42 atoms:
Li 0.6278 0.5692 0.1528  3 H 1.74-1.85
Li 0.6388 0.9967 0.1805  2 H 1.79-1.88
Li 0.6540 0.7330 0.3723  3 H 1.76-1.93
Li 0.6141 0.2650 0.3421  2 H 1.89-1.90
Li 0.6167 0.5372 0.8385  4 H 1.91-2.09
Li 0.5448 0.9782 0.8409  3 H 1.74-1.86
Li 0.3282 0.0289 0.6517  5 H 1.81-1.96
Li 0.0173 0.4869 0.5934  3 H 1.87-1.98
Li 0.0905 0.7718 0.1960  1 H 1.80
Li 0.1091 0.2705 0.1306  3 H 1.85-2.04
Li 0.1110 0.2577 0.8371  4 H 1.84-2.00
Li 0.1151 0.6721 0.7956  4 H 1.80-1.90
Be 0.1361 0.3949 0.3199  2 H 1.50-1.58
Be 0.1470 0.0616 0.3196  1 H 1.45
Be 0.1401 0.7738 0.4202  2 H 1.40-1.42
Be 0.0919 0.2225 0.4602  3 H 1.41-1.54
Be 0.0246 0.5983 0.9828  3 H 1.42-1.48
Be 0.0100 0.9580 0.9765  3 H 1.41-1.47
H 0.9365 0.4828 0.7437  4 Li 1.82-1.97
H 0.7274 0.7402 0.2309  4 Li 1.74-1.80
H 0.8268 0.0783 0.9029  1 Be 1.46
H 0.8411 0.7045 0.9058  1 Be 1.45
H 0.4933 0.4343 0.6238  1 H 0.76
H 0.5740 0.0695 0.5244  1 H 0.76
H 0.0512 0.0026 0.4333  3 Be 1.45-1.60
H 0.8885 0.3751 0.4117  2 Be 1.48-1.58
H 0.4884 0.8126 0.0854  1 H 0.81
H 0.5083 0.2502 0.0737  1 H 0.77
H 0.0692 0.2008 0.5749  1 Be 1.41
H 0.9054 0.6937 0.4852  1 Be 1.42
H 0.9682 0.0079 0.0879  1 Be 1.47
H 0.8717 0.4551 0.0553  1 Be 1.42
H 0.3733 0.7451 0.4798  1 Be 1.40
H 0.3024 0.3810 0.4165  2 Be 1.50-1.54
H 0.2415 0.4955 0.9165  1 Be 1.48
H 0.2727 0.0279 0.9366  1 Be 1.41
H 0.4105 0.1923 0.7450  3 Li 1.81-1.86
H 0.4342 0.7903 0.7489  3 Li 1.80-1.96
H 0.6617 0.9850 0.5543  1 H 0.76
H 0.4916 0.5272 0.5807  1 H 0.76
H 0.4526 0.1761 0.0410  1 H 0.77
H 0.3723 0.7554 0.0607  1 H 0.81